Computed, not measured: a geometry-optimized Li2InBi structure at the PBE level of DFT.

Properties
The space group is Fm-3m.

```
4
Lattice="0.000 3.553 3.553 3.553 0.000 3.553 3.553 3.553 0.000" Properties=species:S:1:pos:R:3 pbc="T T T"
Li 1.777 1.777 1.777
Li 5.330 5.330 5.330
Bi 3.553 3.553 3.553
In 0.000 0.000 0.000
```

---

Computed, not measured: a geometry-optimized GdCo5 structure at the PBE level of DFT.

Properties
The space group is P6/mmm.

```
6
Lattice="-4.401 2.019 0.982 0.361 -3.647 -3.314 -0.580 -2.654 2.858" Properties=species:S:1:pos:R:3 pbc="T T T"
Co -2.310 -2.141 0.263
Co -0.110 -3.150 -0.228
Co -1.226 -1.758 -1.882
Co -2.490 -0.318 1.920
Co -2.814 0.131 -0.450
Gd 0.000 0.000 0.000
```

---

Computed, not measured: a geometry-optimized Ba3Na7Ti3Nb7O30 structure at the PBE level of DFT.

Properties
The space group is Pm. As for the total magnetization: 0.0 μB/f.u.

```
50
Lattice="4.018 0.000 0.000 0.000 8.035 0.000 0.000 0.001 20.105" Properties=species:S:1:pos:R:3 pbc="T T T"
O 0.000 2.009 10.055
O 2.009 4.011 6.022
O 2.009 4.024 14.061
O 0.000 6.028 2.019
O 2.009 8.030 14.061
O 0.000 6.037 18.108
O 2.009 0.001 10.046
O 0.000 6.026 6.017
O 2.009 2.009 12.043
O 2.009 6.025 0.018
O 2.009 2.009 8.040
O 0.000 2.009 14.063
O 2.009 0.005 18.098
O 2.009 6.030 4.019
O 2.009 4.011 2.015
O 0.000 2.000 18.103
O 0.000 2.007 2.020
O 2.009 6.027 12.059
O 2.009 2.005 4.024
O 0.000 6.028 14.059
O 2.009 4.017 10.046
O 0.000 2.009 6.028
O 2.009 2.003 16.076
O 2.009 4.017 18.112
O 2.009 6.035 16.093
O 2.009 0.007 6.022
O 2.009 2.009 0.014
O 2.009 6.026 8.033
O 0.000 6.027 10.040
O 2.009 0.007 2.024
Ba 0.000 4.059 16.114
Ba 0.000 4.029 20.027
Ba 0.000 7.996 16.114
Na 0.000 8.022 8.048
Na 0.000 4.031 8.048
Na 0.000 4.026 4.043
Na 0.000 8.000 12.074
Na 0.000 4.054 12.073
Na 0.000 8.030 20.049
Na 0.000 8.027 4.045
Nb 2.009 6.027 6.071
Nb 2.009 6.056 2.033
Nb 2.009 1.980 2.028
Nb 2.009 2.009 14.014
Nb 2.009 2.009 6.025
Nb 2.009 6.027 10.117
Nb 2.009 2.009 10.025
Ti 2.009 6.028 14.016
Ti 2.009 1.953 18.139
Ti 2.009 6.075 18.095
```

---

Computed, not measured: a geometry-optimized Mg3Mn structure at the PBE level of DFT.

Properties
The space group is P2_1/m. As for the total magnetization: 3.6 μB/f.u.

```
8
Lattice="4.725 0.000 0.000 0.000 4.733 0.000 0.000 2.077 8.420" Properties=species:S:1:pos:R:3 pbc="T T T"
Mg 3.544 3.458 5.211
Mg 3.544 3.175 8.373
Mg 1.181 3.352 3.208
Mg 1.181 5.778 5.339
Mg 1.181 3.634 0.047
Mg 3.544 1.032 3.081
Mn 1.181 3.389 6.780
Mn 3.544 3.421 1.640
```

---

Computed, not measured: a geometry-optimized H2S structure at the PBE level of DFT.

Properties
As for the energy above the most stable polymorph in this dataset: 0.03 eV/f.u. The space group is P1. Its piezoelectric modulus e_max is 0.52 C/m2.

```
12
Lattice="-2.359 -0.847 4.850 -5.366 -1.367 -2.544 0.956 -6.079 -0.381" Properties=species:S:1:pos:R:3 pbc="T T T"
H -0.339 -5.846 -0.474
H -4.662 -5.167 1.048
H -3.713 -1.555 2.377
H -1.774 -1.947 2.466
H -4.754 -6.084 2.794
H -4.960 -2.648 -1.853
H -4.954 -1.777 -0.088
H -0.660 -3.944 -0.220
S -4.289 -2.794 -0.685
S -5.203 -6.311 1.526
S -2.924 -2.559 2.832
S -1.224 -5.091 0.218
```

---

Computed, not measured: a geometry-optimized Zr2SiS2O12 structure at the PBE level of DFT.

Properties
The space group is Cc. As for the total magnetization: 0.0 μB/f.u.

```
102
Lattice="-8.689 0.111 -2.582 4.636 -7.789 -0.023 -6.585 -3.980 21.992" Properties=species:S:1:pos:R:3 pbc="T T T"
O -3.576 -3.315 1.766
O 1.380 -5.272 1.323
O -7.343 -8.437 10.907
O -5.588 -7.382 20.886
O -3.603 -5.375 9.502
O -5.356 -4.452 8.101
O -9.750 -7.070 14.124
O -5.294 -7.219 11.313
O -6.237 -4.504 17.189
O -0.962 -4.747 5.316
O -9.797 -4.719 19.059
O -9.057 -9.908 17.893
O -2.847 -2.439 -0.599
O -1.243 -4.145 0.644
O -0.611 -2.314 4.207
O -5.755 -9.559 15.248
O -5.196 -10.334 20.582
O -3.836 -8.319 9.012
O -0.437 -7.595 4.854
O -1.047 -9.135 15.269
O -5.448 -7.250 4.498
O -0.921 -7.049 0.299
O -7.001 -6.264 9.892
O -4.809 -10.097 17.976
O -9.664 -2.428 4.197
O -7.870 -9.197 19.873
O -2.731 -8.091 6.619
O -4.381 -7.060 2.305
O 1.614 -8.320 3.876
O -7.707 -2.714 7.706
O -5.216 -5.220 19.912
O -2.911 -11.171 19.514
O -10.029 -5.265 11.823
O -5.500 -6.721 15.942
O -5.400 -6.430 -0.490
O -10.045 -9.224 15.106
O -3.291 -5.189 7.093
O -5.081 -4.257 -1.512
O -6.742 -3.254 10.522
O -7.363 -3.273 3.080
O -5.572 -1.237 -1.104
O -3.332 -3.212 8.497
O 0.876 -8.003 8.870
O -1.519 -1.638 1.526
O -3.691 -1.386 6.090
O -6.125 -4.444 0.692
O -2.700 -6.158 12.185
O -12.023 -6.399 18.094
O -4.530 -7.206 18.698
O -5.186 -9.110 6.864
O -9.328 -4.388 9.450
O -5.108 -5.097 3.529
O -5.583 -2.499 12.481
O -11.581 -3.541 10.510
O -5.864 -1.423 1.309
O -6.956 -10.243 13.304
O -5.131 -4.289 14.838
O -0.516 -6.396 7.702
O -3.198 -6.347 4.275
O -7.334 -6.460 12.306
O -10.185 -4.043 14.517
O -9.290 -7.643 18.667
O -7.819 -3.430 12.702
O -7.215 -8.342 17.685
O -7.986 -5.628 7.080
O -3.097 -8.381 16.279
O -1.182 -7.250 9.886
O -7.594 -0.441 -0.091
O -4.887 -2.079 4.117
O -2.850 -9.057 11.700
O -7.573 -5.302 14.991
O -12.248 -3.309 15.522
Zr -5.145 -8.415 16.948
Zr -8.809 -5.294 13.416
Zr -10.898 -1.378 5.274
Zr 0.085 -5.255 -0.366
Zr -0.960 -0.723 3.140
Zr -5.766 -3.476 18.772
Zr -5.468 -3.304 2.434
Zr -3.287 -7.245 10.606
Zr -7.522 -4.348 8.743
Zr -4.219 -2.714 14.146
Zr -10.557 -6.341 19.815
Zr -1.849 -6.425 5.953
S -6.135 -0.604 0.110
S -0.038 -6.862 9.028
S -4.658 -6.592 20.041
S -10.325 -8.418 13.892
S -4.532 -6.460 3.639
S 0.483 -8.753 4.735
S -3.903 -4.569 8.291
S -6.488 -10.696 14.638
S -6.763 -7.096 11.086
S -6.918 -2.626 11.852
S -5.952 -5.074 -0.647
S -8.350 -8.787 18.532
Si -4.521 -11.026 19.276
Si -0.282 -3.288 5.490
Si -6.130 -5.245 15.726
Si -10.610 -4.850 10.361
Si -3.704 -9.004 7.545
Si -2.281 -2.925 0.861
```

---

Computed, not measured: a geometry-optimized Y4Ir structure at the PBE level of DFT.

Properties
The space group is Fd-3m. As for the total magnetization: 0.0 μB/f.u.

```
10
Lattice="-1.630 7.548 -0.612 2.938 4.135 -5.854 -4.634 2.514 -5.675" Properties=species:S:1:pos:R:3 pbc="T T T"
Y -1.189 5.341 -1.949
Y -2.036 8.689 -7.430
Y -0.459 1.959 -1.675
Y -2.536 3.085 -4.218
Y -1.305 5.307 -7.156
Y 0.041 7.562 -4.888
Y -3.352 6.836 -4.807
Y 0.858 3.812 -4.298
Ir 0.000 0.000 0.000
Ir -2.495 10.648 -9.105
```

---

Computed, not measured: a geometry-optimized Pm2CuRh structure at the PBE level of DFT.

Properties
The space group is Fm-3m.

```
4
Lattice="-1.231 -4.489 -1.853 1.778 -4.166 2.139 -3.077 -3.009 2.563" Properties=species:S:1:pos:R:3 pbc="T T T"
Rh 0.000 0.000 0.000
Cu -1.265 -5.832 1.425
Pm -1.897 -8.748 2.137
Pm -0.632 -2.916 0.712
```

---

The records above yield DFT formation energy values of -0.36, -0.07, -3.00, 0.39, -0.31, -2.79, 0.12, -0.44 eV/atom, respectively.